Compound: LiCuPO4
Source: the Materials Project
Functional: PBE-GGA
Structure: optimized geometry

* energy with MP2020 corrections: -1106.5 eV/cell
* electronic total energy: -1040.5 eV per cell
* ΔH_f (0 K): -14.89 eV per formula unit

Cell lengths 9.906, 9.906, 23.693 Å; angles 90.00, 90.00, 120.00 degrees
Fractional positions:
Li 0.024 0.983 0.696
Li 0.033 0.582 0.036
Li 0.040 0.461 0.192
Li 0.041 0.483 0.850
Li 0.422 0.960 0.859
Li 0.442 0.959 0.517
Li 0.017 0.041 0.029
Li 0.041 0.024 0.862
Li 0.549 0.967 0.703
Li 0.418 0.451 0.369
Li 0.517 0.558 0.184
Li 0.539 0.578 0.526
Li 0.461 0.422 0.026
Li 0.483 0.442 0.684
Li 0.582 0.549 0.869
Li 0.451 0.033 0.203
Li 0.959 0.976 0.362
Li 0.983 0.959 0.529
Li 0.558 0.041 0.017
Li 0.578 0.040 0.359
Li 0.959 0.517 0.350
Li 0.960 0.539 0.692
Li 0.967 0.418 0.536
Li 0.976 0.017 0.196
Cu 0.114 0.819 0.269
Cu 0.096 0.773 0.923
Cu 0.123 0.760 0.594
Cu 0.315 0.657 0.756
Cu 0.343 0.658 0.089
Cu 0.342 0.685 0.423
Cu 0.181 0.295 0.602
Cu 0.240 0.363 0.927
Cu 0.227 0.323 0.256
Cu 0.637 0.877 0.261
Cu 0.677 0.904 0.589
Cu 0.295 0.114 0.436
Cu 0.705 0.886 0.936
Cu 0.323 0.096 0.089
Cu 0.363 0.123 0.761
Cu 0.773 0.677 0.756
Cu 0.760 0.637 0.427
Cu 0.819 0.705 0.102
Cu 0.658 0.315 0.923
Cu 0.657 0.342 0.589
Cu 0.685 0.343 0.256
Cu 0.877 0.240 0.094
Cu 0.904 0.227 0.423
Cu 0.886 0.181 0.769
P 0.096 0.790 0.791
P 0.080 0.760 0.465
P 0.135 0.774 0.138
P 0.291 0.650 0.296
P 0.359 0.709 0.963
P 0.350 0.641 0.630
P 0.226 0.361 0.471
P 0.210 0.305 0.124
P 0.240 0.320 0.799
P 0.639 0.865 0.805
P 0.680 0.920 0.132
P 0.695 0.904 0.457
P 0.305 0.096 0.957
P 0.320 0.080 0.632
P 0.361 0.135 0.305
P 0.760 0.680 0.299
P 0.790 0.695 0.624
P 0.774 0.639 0.971
P 0.650 0.359 0.130
P 0.641 0.291 0.463
P 0.709 0.350 0.796
P 0.865 0.226 0.638
P 0.920 0.240 0.965
P 0.904 0.210 0.291
O 0.038 0.774 0.086
O 0.090 0.922 0.467
O 0.016 0.701 0.846
O 0.142 0.991 0.929
O 0.037 0.749 0.192
O 0.013 0.674 0.522
O 0.249 0.939 0.808
O 0.138 0.656 0.304
O 0.116 0.679 0.751
O 0.312 0.968 0.584
O 0.295 0.926 0.141
O 0.162 0.633 0.132
O 0.248 0.790 0.457
O 0.181 0.604 0.619
O 0.074 0.369 0.474
O 0.269 0.729 0.913
O 0.032 0.343 0.917
O 0.061 0.311 0.142
O 0.009 0.151 0.262
O 0.078 0.169 0.801
O 0.260 0.677 0.018
O 0.271 0.540 0.247
O 0.323 0.583 0.351
O 0.210 0.458 0.790
O 0.417 0.740 0.684
O 0.423 0.819 0.285
O 0.471 0.838 0.799
O 0.321 0.437 0.085
O 0.344 0.482 0.638
O 0.367 0.529 0.465
O 0.251 0.288 0.525
O 0.396 0.577 0.952
O 0.460 0.731 0.580
O 0.518 0.862 0.971
O 0.563 0.884 0.418
O 0.151 0.142 0.095
O 0.226 0.265 0.420
O 0.299 0.315 0.179
O 0.169 0.090 0.634
O 0.326 0.339 0.855
O 0.542 0.752 0.124
O 0.311 0.249 0.975
O 0.661 0.987 0.189
O 0.343 0.312 0.750
O 0.369 0.295 0.307
O 0.685 0.984 0.513
O 0.712 0.963 0.859
O 0.265 0.038 0.253
O 0.735 0.962 0.753
O 0.288 0.037 0.359
O 0.315 0.016 0.013
O 0.631 0.705 0.807
O 0.657 0.688 0.250
O 0.339 0.013 0.689
O 0.689 0.751 0.475
O 0.458 0.248 0.624
O 0.674 0.661 0.355
O 0.831 0.910 0.134
O 0.701 0.685 0.679
O 0.774 0.735 0.920
O 0.849 0.858 0.595
O 0.437 0.116 0.918
O 0.482 0.138 0.471
O 0.540 0.269 0.080
O 0.604 0.423 0.452
O 0.749 0.712 0.025
O 0.633 0.471 0.965
O 0.656 0.518 0.138
O 0.679 0.563 0.585
O 0.529 0.162 0.299
O 0.577 0.181 0.785
O 0.583 0.260 0.184
O 0.790 0.542 0.290
O 0.677 0.417 0.851
O 0.729 0.460 0.747
O 0.740 0.323 0.518
O 0.922 0.831 0.301
O 0.991 0.849 0.762
O 0.939 0.689 0.642
O 0.968 0.657 0.417
O 0.731 0.271 0.413
O 0.926 0.631 0.974
O 0.819 0.396 0.119
O 0.752 0.210 0.957
O 0.838 0.367 0.632
O 0.705 0.074 0.641
O 0.688 0.032 0.084
O 0.884 0.321 0.251
O 0.862 0.344 0.804
O 0.751 0.061 0.308
O 0.987 0.326 0.022
O 0.963 0.251 0.692
O 0.858 0.009 0.429
O 0.984 0.299 0.346
O 0.910 0.078 0.967
O 0.962 0.226 0.586